(1)
{"formula": "La2Pt2O7", "functional": "r2SCAN", "state": "relaxed", "crystal_system": "cubic", "dft_energy_ev_per_atom": -20.7210, "e_form_ev_per_atom": -2.15, "cell": [[0.000, 5.272, 5.272], [5.272, 0.000, 5.272], [5.272, 5.272, 0.000]], "species": ["La", "La", "La", "La", "Pt", "Pt", "Pt", "Pt", "O", "O", "O", "O", "O", "O", "O", "O", "O", "O", "O", "O", "O", "O"], "fractional_positions": [[0.000, 0.000, 0.000], [0.000, 0.000, 0.500], [0.000, 0.500, 0.000], [0.500, 0.000, 0.000], [0.000, 0.500, 0.500], [0.500, 0.000, 0.500], [0.500, 0.500, 0.000], [0.500, 0.500, 0.500], [0.125, 0.125, 0.125], [0.168, 0.168, 0.582], [0.168, 0.582, 0.168], [0.168, 0.582, 0.582], [0.418, 0.418, 0.832], [0.418, 0.832, 0.418], [0.418, 0.832, 0.832], [0.582, 0.168, 0.168], [0.582, 0.168, 0.582], [0.582, 0.582, 0.168], [0.832, 0.418, 0.418], [0.832, 0.418, 0.832], [0.832, 0.832, 0.418], [0.875, 0.875, 0.875]]}


(2)
{"formula": "La3Pt3O11", "functional": "r2SCAN", "state": "relaxed", "crystal_system": "cubic", "dft_energy_ev_per_atom": -20.3112, "e_form_ev_per_atom": -2.11, "cell": [[9.516, 0.000, 0.000], [0.000, 9.516, 0.000], [0.000, 0.000, 9.516]], "species": ["La", "La", "La", "La", "La", "La", "La", "La", "La", "La", "La", "La", "Pt", "Pt", "Pt", "Pt", "Pt", "Pt", "Pt", "Pt", "Pt", "Pt", "Pt", "Pt", "O", "O", "O", "O", "O", "O", "O", "O", "O", "O", "O", "O", "O", "O", "O", "O", "O", "O", "O", "O", "O", "O", "O", "O", "O", "O", "O", "O", "O", "O", "O", "O", "O", "O", "O", "O", "O", "O", "O", "O", "O", "O", "O", "O"], "fractional_positions": [[0.000, 0.000, 0.000], [0.000, 0.500, 0.500], [0.114, 0.114, 0.386], [0.114, 0.386, 0.114], [0.386, 0.114, 0.114], [0.386, 0.386, 0.386], [0.500, 0.000, 0.500], [0.500, 0.500, 0.000], [0.614, 0.614, 0.614], [0.614, 0.886, 0.886], [0.886, 0.614, 0.886], [0.886, 0.886, 0.614], [0.093, 0.750, 0.250], [0.250, 0.093, 0.750], [0.250, 0.407, 0.750], [0.250, 0.750, 0.593], [0.250, 0.750, 0.907], [0.407, 0.750, 0.250], [0.593, 0.250, 0.750], [0.750, 0.250, 0.093], [0.750, 0.250, 0.407], [0.750, 0.593, 0.250], [0.750, 0.907, 0.250], [0.907, 0.250, 0.750], [0.039, 0.083, 0.747], [0.039, 0.417, 0.753], [0.083, 0.747, 0.039], [0.083, 0.753, 0.461], [0.110, 0.750, 0.750], [0.144, 0.144, 0.144], [0.144, 0.356, 0.356], [0.247, 0.539, 0.917], [0.247, 0.961, 0.583], [0.250, 0.250, 0.610], [0.250, 0.250, 0.890], [0.250, 0.610, 0.250], [0.250, 0.890, 0.250], [0.253, 0.539, 0.583], [0.253, 0.961, 0.917], [0.356, 0.144, 0.356], [0.356, 0.356, 0.144], [0.390, 0.750, 0.750], [0.417, 0.747, 0.461], [0.417, 0.753, 0.039], [0.461, 0.083, 0.753], [0.461, 0.417, 0.747], [0.539, 0.583, 0.253], [0.539, 0.917, 0.247], [0.583, 0.247, 0.961], [0.583, 0.253, 0.539], [0.610, 0.250, 0.250], [0.644, 0.644, 0.856], [0.644, 0.856, 0.644], [0.747, 0.039, 0.083], [0.747, 0.461, 0.417], [0.750, 0.110, 0.750], [0.750, 0.390, 0.750], [0.750, 0.750, 0.110], [0.750, 0.750, 0.390], [0.753, 0.039, 0.417], [0.753, 0.461, 0.083], [0.856, 0.644, 0.644], [0.856, 0.856, 0.856], [0.890, 0.250, 0.250], [0.917, 0.247, 0.539], [0.917, 0.253, 0.961], [0.961, 0.583, 0.247], [0.961, 0.917, 0.253]]}


(3)
{"formula": "La3Re2O10", "functional": "r2SCAN", "state": "relaxed", "crystal_system": "monoclinic", "dft_energy_ev_per_atom": -19.7552, "e_form_ev_per_atom": -2.84, "cell": [[3.948, -3.926, 0.000], [3.948, 3.926, 0.000], [-3.031, 0.000, 6.473]], "species": ["La", "La", "La", "Re", "Re", "O", "O", "O", "O", "O", "O", "O", "O", "O", "O"], "fractional_positions": [[0.000, 0.000, 0.000], [0.258, 0.742, 0.500], [0.742, 0.258, 0.500], [0.366, 0.366, 0.825], [0.634, 0.634, 0.175], [0.095, 0.095, 0.718], [0.130, 0.604, 0.787], [0.329, 0.329, 0.528], [0.352, 0.352, 0.096], [0.396, 0.870, 0.213], [0.604, 0.130, 0.787], [0.648, 0.648, 0.904], [0.671, 0.671, 0.472], [0.870, 0.396, 0.213], [0.905, 0.905, 0.282]]}


(4)
{"formula": "La3Re2O9", "functional": "r2SCAN", "state": "relaxed", "crystal_system": "triclinic", "dft_energy_ev_per_atom": -20.5879, "e_form_ev_per_atom": -2.89, "cell": [[5.677, 0.000, 0.000], [2.449, 6.427, 0.000], [2.773, 1.516, 10.708]], "species": ["La", "La", "La", "La", "La", "La", "Re", "Re", "Re", "Re", "O", "O", "O", "O", "O", "O", "O", "O", "O", "O", "O", "O", "O", "O", "O", "O", "O", "O"], "fractional_positions": [[0.004, 0.222, 0.269], [0.225, 0.163, 0.883], [0.282, 0.594, 0.381], [0.718, 0.406, 0.619], [0.775, 0.837, 0.117], [0.996, 0.778, 0.731], [0.357, 0.122, 0.571], [0.490, 0.611, 0.909], [0.510, 0.389, 0.091], [0.643, 0.878, 0.429], [0.066, 0.115, 0.711], [0.115, 0.251, 0.461], [0.146, 0.812, 0.935], [0.179, 0.509, 0.189], [0.303, 0.417, 0.590], [0.359, 0.479, 0.816], [0.373, 0.820, 0.578], [0.388, 0.171, 0.073], [0.415, 0.939, 0.314], [0.585, 0.061, 0.686], [0.612, 0.829, 0.927], [0.627, 0.180, 0.422], [0.641, 0.521, 0.184], [0.697, 0.583, 0.410], [0.821, 0.491, 0.811], [0.854, 0.188, 0.065], [0.885, 0.749, 0.539], [0.934, 0.885, 0.289]]}


(5)
{"formula": "La3RuO7", "functional": "r2SCAN", "state": "relaxed", "crystal_system": "orthorhombic", "dft_energy_ev_per_atom": -17.2388, "e_form_ev_per_atom": -3.01, "cell": [[5.606, -3.707, 0.000], [5.606, 3.707, 0.000], [0.000, 0.000, 7.625]], "species": ["La", "La", "La", "La", "La", "La", "Ru", "Ru", "O", "O", "O", "O", "O", "O", "O", "O", "O", "O", "O", "O", "O", "O"], "fractional_positions": [[0.000, 0.000, 0.000], [0.000, 0.000, 0.500], [0.099, 0.462, 0.750], [0.462, 0.099, 0.250], [0.538, 0.901, 0.750], [0.901, 0.538, 0.250], [0.500, 0.500, 0.000], [0.500, 0.500, 0.500], [0.097, 0.163, 0.250], [0.163, 0.097, 0.750], [0.195, 0.558, 0.042], [0.195, 0.558, 0.458], [0.420, 0.580, 0.750], [0.442, 0.805, 0.042], [0.442, 0.805, 0.458], [0.558, 0.195, 0.542], [0.558, 0.195, 0.958], [0.580, 0.420, 0.250], [0.805, 0.442, 0.542], [0.805, 0.442, 0.958], [0.837, 0.903, 0.250], [0.903, 0.837, 0.750]]}


(6)
{"formula": "La4Ru6O19", "functional": "r2SCAN", "state": "relaxed", "crystal_system": "monoclinic", "dft_energy_ev_per_atom": -15.4018, "e_form_ev_per_atom": -2.13, "cell": [[6.341, -4.498, 0.000], [6.341, 4.498, 0.000], [-6.336, 0.000, 6.359]], "species": ["La", "La", "La", "La", "Ru", "Ru", "Ru", "Ru", "Ru", "Ru", "O", "O", "O", "O", "O", "O", "O", "O", "O", "O", "O", "O", "O", "O", "O", "O", "O", "O", "O"], "fractional_positions": [[0.158, 0.158, 0.319], [0.161, 0.515, 0.999], [0.485, 0.839, 0.001], [0.842, 0.842, 0.681], [0.026, 0.701, 0.365], [0.299, 0.974, 0.635], [0.524, 0.476, 0.500], [0.660, 0.339, 0.863], [0.661, 0.340, 0.137], [0.800, 0.200, 0.500], [0.104, 0.210, 0.628], [0.159, 0.841, 0.000], [0.162, 0.835, 0.674], [0.165, 0.838, 0.326], [0.218, 0.465, 0.313], [0.420, 0.147, 0.938], [0.473, 0.096, 0.626], [0.482, 0.472, 0.694], [0.485, 0.515, 0.000], [0.489, 0.166, 0.331], [0.528, 0.518, 0.306], [0.535, 0.782, 0.687], [0.787, 0.148, 0.252], [0.790, 0.896, 0.372], [0.834, 0.166, 0.000], [0.834, 0.511, 0.669], [0.852, 0.213, 0.748], [0.853, 0.580, 0.062], [0.904, 0.527, 0.374]]}